VASP calculation (PBE+U) on crystalline V2Cu3H6O11 at its relaxed geometry.

Spin magnetization ... 2.968 μB per formula unit
Energy above the most stable polymorph in this dataset ... 16 meV per atom
ΔH_f (0 K) ... -1.469 eV/atom

Cell lengths 6.1808, 6.1808, 7.3284 Å; angles 85.01, 85.01, 56.74 degrees
Sites, in units of the cell vectors:
1 Cu 0.9977 0.0023 0.0000
2 H 0.2587 0.2454 0.5026
3 O 0.8014 0.3357 0.8105
4 H 0.8444 0.8505 0.7478
5 O 0.3318 0.8104 0.8163
6 H 0.1158 0.1111 0.5727
7 O 0.4774 0.5226 0.5000
8 O 0.6643 0.1986 0.1895
9 O 0.6621 0.6642 0.1486
10 O 0.1896 0.6682 0.1837
11 O 0.3358 0.3379 0.8514
12 O 0.1358 0.2071 0.4658
13 H 0.7546 0.7413 0.4974
14 Cu 0.5004 0.0001 0.9999
15 O 0.7929 0.8642 0.5342
16 V 0.5004 0.5115 0.2524
17 H 0.8889 0.8842 0.4273
18 O 0.1545 0.1539 0.1131
19 O 0.8461 0.8455 0.8869
20 H 0.1495 0.1556 0.2522
21 V 0.4885 0.4996 0.7476
22 Cu 0.9999 0.4996 0.0001